Computed, not measured: crystalline HoScB2O6 at its relaxed geometry at the PBE level of DFT.

Values from the calculation:
**MP2020-corrected energy**: -8.885 eV per atom
**SG**: R-3, No. 148
**Energy of formation**: -3.49 eV per atom

a = 6.0531 Å, b = 6.0531 Å, c = 6.0531 Å
α = 47.73°, β = 47.73°, γ = 47.73°
Closest atoms and distances in Å follow each position.
Fractional positions:
1 Ho 0.0000 0.0000 0.0000  6 O 2.30
2 Sc 0.5000 0.5000 0.5000  6 O 2.14
3 B 0.7546 0.7546 0.7546  3 O 1.39
4 B 0.2454 0.2454 0.2454  3 O 1.39
5 O 0.0454 0.4792 0.7351  1 B 1.39
6 O 0.4792 0.7351 0.0454  1 B 1.39
7 O 0.7351 0.0454 0.4792  1 B 1.39
8 O 0.5208 0.2649 0.9546  1 B 1.39
9 O 0.2649 0.9546 0.5208  1 B 1.39
10 O 0.9546 0.5208 0.2649  1 B 1.39